(1)
This record from Materials Project describes an optimized crystal structure of K2Pd3Se4. The functional is PBE.

Summary:
- total DFT energy (no corrections) (eV/atom) = -4.227
- ΔE_f (eV per atom) = -0.9092

```
K2Pd3Se4
1.0
0.000 5.609 13.475
3.216 0.000 13.475
3.216 5.609 0.000
K Pd Se
4 6 8
direct
0.546 0.557 0.707
0.701 0.700 0.548
0.451 0.449 0.303
0.295 0.306 0.456
0.115 0.133 0.630
0.369 0.378 0.885
0.867 0.884 0.377
0.883 0.866 0.870
0.119 0.133 0.128
0.629 0.626 0.127
0.761 0.108 0.654
0.105 0.770 0.972
0.651 0.978 0.771
0.017 0.356 0.896
0.242 0.885 0.349
0.981 0.645 0.108
0.352 0.022 0.238
0.885 0.242 0.024
```

---

(2)
This record from Materials Project describes an optimized crystal structure of Na2MgTiO3. The functional is PBE.

Summary:
- total DFT energy (no corrections) (eV/atom) = -5.724
- energy above the most stable polymorph in this dataset (eV/atom) = 0.0000
- ΔE_f (eV per atom) = -2.1632

```
Na2MgTiO3
1.0
-1.439 2.624 -0.224
-1.507 -0.361 5.405
6.240 1.550 -1.956
Na Mg Ti O
2 1 1 3
direct
0.580 0.526 0.159
0.296 0.485 0.586
0.840 0.067 0.676
0.037 0.928 0.072
0.663 0.046 0.326
0.451 0.027 0.899
0.945 0.532 0.886
```

---

(3)
This record from Materials Project describes an optimized crystal structure of Ho2AlGe3. The functional is PBE.

Summary:
- total DFT energy (no corrections) (eV/atom) = -5.091
- ΔE_f (eV per atom) = -0.6279

```
Ho2AlGe3
1.0
4.178 0.000 0.000
0.000 6.829 0.000
0.000 0.000 17.678
Ho Al Ge
8 4 12
direct
0.250 0.666 0.703
0.750 0.334 0.297
0.750 0.834 0.203
0.250 0.166 0.797
0.250 0.668 0.915
0.750 0.332 0.085
0.750 0.832 0.415
0.250 0.168 0.585
0.250 0.951 0.064
0.750 0.049 0.936
0.750 0.549 0.564
0.250 0.451 0.436
0.250 0.751 0.535
0.750 0.249 0.465
0.750 0.749 0.035
0.250 0.251 0.965
0.250 0.535 0.172
0.750 0.465 0.828
0.750 0.965 0.672
0.250 0.035 0.328
0.250 0.646 0.312
0.750 0.354 0.688
0.750 0.854 0.812
0.250 0.146 0.188
```

---

(4)
This record from Materials Project describes an optimized crystal structure of BaCl2. The functional is PBE.

Summary:
- total DFT energy (no corrections) (eV/atom) = -4.431
- ΔE_f (eV per atom) = -2.9682

```
BaCl2
1.0
-3.707 -3.707 0.000
-3.707 0.000 -3.707
0.000 -3.707 -3.707
Ba Cl
1 2
direct
0.000 0.000 0.000
0.750 0.750 0.750
0.250 0.250 0.250
```

---

(5)
This record from Materials Project describes an optimized crystal structure of Bi8Rh8O27. The functional is PBE.

Summary:
- total DFT energy (no corrections) (eV/atom) = -6.207
- ΔE_f (eV per atom) = -1.4380

```
Bi8Rh8O27
1.0
-5.370 10.537 -4.537
-7.388 5.067 -8.955
-10.817 6.068 -2.572
Bi Rh O
8 8 27
direct
0.504 0.504 0.504
0.257 0.744 0.744
0.744 0.257 0.744
0.999 0.999 0.999
0.744 0.744 0.257
0.251 0.750 0.251
0.750 0.251 0.251
0.251 0.251 0.750
0.999 0.999 0.500
0.500 0.999 0.999
0.999 0.500 0.999
0.251 0.251 0.251
0.499 0.499 0.002
0.002 0.499 0.499
0.499 0.002 0.499
0.750 0.750 0.750
0.708 0.708 0.124
0.081 0.081 0.507
0.003 0.416 0.416
0.124 0.708 0.708
0.416 0.003 0.416
0.708 0.124 0.708
0.209 0.209 0.624
0.507 0.081 0.081
0.792 0.371 0.792
0.371 0.792 0.792
0.081 0.507 0.081
0.931 0.931 0.931
0.416 0.416 0.003
0.583 0.583 0.000
0.209 0.624 0.209
0.062 0.062 0.062
0.624 0.209 0.209
0.917 0.498 0.917
0.498 0.917 0.917
0.792 0.792 0.371
0.000 0.583 0.583
0.872 0.294 0.294
0.583 0.000 0.583
0.294 0.872 0.294
0.444 0.444 0.444
0.917 0.917 0.498
0.294 0.294 0.872
```

---

(6)
This record from Materials Project describes an optimized crystal structure of CuO. The functional is PBE.

Summary:
- total DFT energy (no corrections) (eV/atom) = -5.122
- ΔE_f (eV per atom) = -0.9417

```
CuO
1.0
1.991 -2.154 0.000
1.991 2.154 0.000
0.000 0.000 5.156
Cu O
2 2
direct
0.000 0.500 0.500
0.500 0.000 0.000
0.500 0.500 0.750
0.500 0.500 0.250
```